# 1
Rb2AlTlF6 (PBE, optimized geometry); total DFT energy (no corrections) = -48.70 eV per formula unit; space-group type = Fm-3m; magnetic moment = 0.000 Bohr magnetons per cell; E (MP2020) = -5.147 eV/atom; volume = 186 Å³/cell; formation energy from the elements = -3.191 eV per atom
1.0
0.000 4.528 4.528
4.528 0.000 4.528
4.528 4.528 0.000
Rb Al Tl F
2 1 1 6
Direct
0.250 0.250 0.250
0.750 0.750 0.750
0.000 0.000 0.000
0.500 0.500 0.500
0.204 0.204 0.796
0.204 0.796 0.204
0.204 0.796 0.796
0.796 0.204 0.204
0.796 0.204 0.796
0.796 0.796 0.204

***

# 2
Rb2UTe3 (PBE, optimized geometry); total DFT energy (no corrections) = -28.17 eV per formula unit; space-group type = C2/m; E (MP2020) = -4.907 eV/atom; volume = 507 Å³/cell; formation energy from the elements = -1.126 eV per atom
1.0
4.121 -7.144 0.000
4.121 7.144 0.000
-2.774 0.000 8.612
Rb U Te
4 2 6
Direct
0.000 0.000 0.000
0.157 0.843 0.500
0.500 0.500 0.500
0.843 0.157 0.500
0.332 0.668 0.000
0.668 0.332 0.000
0.068 0.447 0.203
0.310 0.310 0.799
0.447 0.068 0.203
0.553 0.932 0.797
0.690 0.690 0.201
0.932 0.553 0.797

***

# 3
MgTi2Ge2O6 (PBE, optimized geometry); total DFT energy (no corrections) = -79.25 eV per formula unit; distance to the lowest polymorph of the same formula = 0 meV per atom; space-group type = P1; magnetic moment = 1.991 Bohr magnetons per cell; E (MP2020) = -7.580 eV/atom; volume = 160 Å³/cell; formation energy from the elements = -2.459 eV per atom
1.0
5.040 0.000 0.000
2.493 4.424 0.000
2.468 -1.357 7.180
Mg Ti Ge O
1 2 2 6
Direct
0.000 0.000 0.000
0.248 0.859 0.618
0.892 0.562 0.654
0.371 0.312 0.939
0.753 0.122 0.371
0.120 0.254 0.817
0.348 0.479 0.486
0.427 0.628 0.822
0.677 0.834 0.491
0.799 0.940 0.823
0.991 0.170 0.496

***

# 4
TcBr3 (PBE, optimized geometry); total DFT energy (no corrections) = -16.77 eV per formula unit; distance to the lowest polymorph of the same formula = 15 meV per atom; space-group type = P6_3/mcm; E (MP2020) = -4.592 eV/atom; volume = 277 Å³/cell; formation energy from the elements = -0.774 eV per atom
1.0
7.231 0.000 0.000
-3.616 6.262 0.000
0.000 0.000 6.123
Tc Br
2 6
Direct
0.000 0.000 0.000
0.000 0.000 0.500
0.000 0.281 0.250
0.000 0.719 0.750
0.281 0.000 0.250
0.281 0.281 0.750
0.719 0.000 0.750
0.719 0.719 0.250

***

# 5
BaBiBO4 (PBE, optimized geometry); total DFT energy (no corrections) = -47.81 eV per formula unit; space-group type = Pnma; magnetic moment = 0.000 Bohr magnetons per cell; E (MP2020) = -7.223 eV/atom; volume = 452 Å³/cell; formation energy from the elements = -2.611 eV per atom
1.0
8.817 0.000 0.000
0.000 5.202 0.000
0.000 0.000 9.864
Ba Bi B O
4 4 4 16
Direct
0.008 0.250 0.183
0.492 0.750 0.683
0.508 0.250 0.317
0.992 0.750 0.817
0.195 0.250 0.561
0.305 0.750 0.061
0.695 0.250 0.939
0.805 0.750 0.439
0.200 0.750 0.444
0.300 0.250 0.944
0.700 0.750 0.056
0.800 0.250 0.556
0.075 0.750 0.084
0.188 0.750 0.585
0.206 0.513 0.377
0.206 0.987 0.377
0.294 0.013 0.877
0.294 0.487 0.877
0.312 0.250 0.085
0.425 0.250 0.584
0.575 0.750 0.416
0.688 0.750 0.915
0.706 0.513 0.123
0.706 0.987 0.123
0.794 0.013 0.623
0.794 0.487 0.623
0.812 0.250 0.415
0.925 0.250 0.916

***

# 6
Bi2Se3 (PBE, optimized geometry); total DFT energy (no corrections) = -19.46 eV per formula unit; space-group type = P4_2/nmc; magnetic moment = 0.000 Bohr magnetons per cell; E (MP2020) = -4.175 eV/atom; volume = 1334 Å³/cell; formation energy from the elements = -0.521 eV per atom
1.0
9.872 0.000 0.000
0.000 9.872 0.000
0.000 0.000 13.685
Bi Se
16 24
Direct
0.013 0.513 0.250
0.013 0.987 0.250
0.250 0.250 0.027
0.250 0.250 0.527
0.250 0.750 0.506
0.250 0.750 0.994
0.487 0.513 0.250
0.487 0.987 0.250
0.513 0.013 0.750
0.513 0.487 0.750
0.750 0.250 0.006
0.750 0.250 0.494
0.750 0.750 0.473
0.750 0.750 0.973
0.987 0.013 0.750
0.987 0.487 0.750
0.016 0.750 0.387
0.030 0.750 0.851
0.046 0.250 0.879
0.250 0.046 0.379
0.250 0.454 0.379
0.250 0.516 0.113
0.250 0.530 0.649
0.250 0.970 0.649
0.250 0.984 0.113
0.454 0.250 0.879
0.470 0.750 0.851
0.484 0.750 0.387
0.516 0.250 0.613
0.530 0.250 0.149
0.546 0.750 0.121
0.750 0.016 0.887
0.750 0.030 0.351
0.750 0.470 0.351
0.750 0.484 0.887
0.750 0.546 0.621
0.750 0.954 0.621
0.954 0.750 0.121
0.970 0.250 0.149
0.984 0.250 0.613

***

# 7
AlH4Se2O8 (PBE, optimized geometry); total DFT energy (no corrections) = -81.56 eV per formula unit; space-group type = P2_1/c; magnetic moment = 1.999 Bohr magnetons per cell; E (MP2020) = -5.804 eV/atom; volume = 355 Å³/cell; formation energy from the elements = -1.544 eV per atom
1.0
7.409 0.000 0.000
0.000 6.640 0.000
-5.240 0.000 7.221
Al H Se O
2 8 4 16
Direct
0.000 0.000 0.000
0.000 0.500 0.500
0.311 0.217 0.039
0.311 0.283 0.539
0.313 0.250 0.220
0.313 0.250 0.720
0.687 0.750 0.280
0.687 0.750 0.780
0.689 0.717 0.461
0.689 0.783 0.961
0.261 0.704 0.906
0.261 0.796 0.406
0.739 0.204 0.594
0.739 0.296 0.094
0.086 0.593 0.350
0.086 0.907 0.850
0.214 0.222 0.084
0.214 0.278 0.584
0.227 0.661 0.701
0.227 0.839 0.201
0.474 0.205 0.957
0.474 0.295 0.457
0.526 0.705 0.543
0.526 0.795 0.043
0.773 0.161 0.799
0.773 0.339 0.299
0.786 0.722 0.416
0.786 0.778 0.916
0.914 0.093 0.150
0.914 0.407 0.650

***

# 8
La3NbSb5 (PBE, optimized geometry); total DFT energy (no corrections) = -53.82 eV per formula unit; space-group type = P6_3/mcm; E (MP2020) = -6.087 eV/atom; volume = 502 Å³/cell; formation energy from the elements = -1.025 eV per atom
1.0
9.574 0.000 0.000
-4.787 8.291 0.000
0.000 0.000 6.325
La Nb Sb
6 2 10
Direct
0.000 0.381 0.250
0.000 0.619 0.750
0.381 0.000 0.250
0.381 0.381 0.750
0.619 0.000 0.750
0.619 0.619 0.250
0.000 0.000 0.000
0.000 0.000 0.500
0.000 0.256 0.750
0.000 0.744 0.250
0.256 0.000 0.750
0.256 0.256 0.250
0.333 0.667 0.000
0.333 0.667 0.500
0.667 0.333 0.000
0.667 0.333 0.500
0.744 0.000 0.250
0.744 0.744 0.750